First-principles (r²SCAN) data for a geometry-optimized Al2IrOs structure, as listed in the Materials Project.

Unit cell a=4.234 b=4.234 c=4.234 alpha=60.00 beta=60.00 gamma=60.00
Positions (direct):
Al1 0.250 0.250 0.250
Al2 0.750 0.750 0.750
Ir1 0.000 0.000 0.000
Os1 0.500 0.500 0.500

Output
Space-group type   Fm-3m, No. 225
E_form   -19.11 kcal/mol of atoms
VASP energy   -122.123 eV/cell